Record 1
This record from Materials Project describes a relaxed structure of Mg3Si4. The functional is GGA-PBE. Values from VASP.

Structure (Quantum ESPRESSO input):
```
&SYSTEM
  ibrav = 0, nat = 14, ntyp = 2
/
ATOMIC_SPECIES
Mg 24.30 Mg.upf
Si 28.09 Si.upf
CELL_PARAMETERS angstrom
5.668 0.000 0.000
-2.157 7.105 0.000
-1.315 -3.681 6.480
ATOMIC_POSITIONS angstrom
Mg 0.000 0.000 0.000
Mg -1.655 2.909 3.051
Mg -0.261 -0.263 3.304
Mg 1.120 2.107 1.740
Mg 1.603 -1.875 5.557
Mg 2.146 4.631 0.774
Si -1.132 -1.135 5.690
Si -0.749 4.392 0.633
Si -1.070 2.399 5.747
Si 2.155 -1.380 2.755
Si 0.909 2.105 4.392
Si 3.300 0.339 1.581
Si 1.727 4.296 3.669
Si 2.880 0.526 4.579
```

Output
- Energy of formation: 177 meV per atom

=====

Record 2
This record from Materials Project describes a relaxed structure of Mg3Si4. The functional is GGA-PBE. Values from VASP.

Structure (Quantum ESPRESSO input):
```
&SYSTEM
  ibrav = 0, nat = 14, ntyp = 2
/
ATOMIC_SPECIES
Mg 24.30 Mg.upf
Si 28.09 Si.upf
CELL_PARAMETERS angstrom
6.306 0.000 0.000
0.724 6.468 0.000
2.306 2.707 6.520
ATOMIC_POSITIONS angstrom
Mg 0.000 0.000 0.000
Mg 3.175 5.574 6.450
Mg 2.721 2.857 3.432
Mg 4.209 5.981 3.378
Mg 3.510 1.482 0.790
Mg 7.436 7.296 4.886
Si 1.122 1.115 2.198
Si 2.988 4.325 0.987
Si 4.890 7.789 5.299
Si 5.100 3.553 4.653
Si 5.446 2.519 2.450
Si 5.449 4.691 1.290
Si 7.371 4.489 4.807
Si 7.592 5.280 2.528
```

Output
- Energy of formation: 142 meV per atom

=====

Record 3
This record from Materials Project describes a relaxed structure of Mg4Si3. The functional is GGA-PBE. Values from VASP.

Structure (Quantum ESPRESSO input):
```
&SYSTEM
  ibrav = 0, nat = 14, ntyp = 2
/
ATOMIC_SPECIES
Mg 24.30 Mg.upf
Si 28.09 Si.upf
CELL_PARAMETERS angstrom
6.108 0.000 0.000
1.552 6.126 0.000
2.688 1.983 7.666
ATOMIC_POSITIONS angstrom
Mg 1.674 1.175 2.295
Mg 3.702 4.032 3.465
Mg 5.065 5.147 6.791
Mg 4.241 2.201 6.119
Mg 6.107 5.908 1.548
Mg 5.284 2.962 0.875
Mg 6.647 4.077 4.202
Mg 8.674 6.934 5.371
Si 1.662 3.798 1.731
Si 3.485 5.051 0.797
Si 5.072 6.389 4.255
Si 5.276 1.720 3.411
Si 6.864 3.058 6.870
Si 8.686 4.311 5.936
```

Output
- Energy of formation: 17 meV per atom

=====

Record 4
This record from Materials Project describes a relaxed structure of Mg3Si4. The functional is GGA-PBE. Values from VASP.

Structure (Quantum ESPRESSO input):
```
&SYSTEM
  ibrav = 0, nat = 14, ntyp = 2
/
ATOMIC_SPECIES
Mg 24.30 Mg.upf
Si 28.09 Si.upf
CELL_PARAMETERS angstrom
6.736 -2.307 0.000
6.736 2.307 0.000
-2.243 0.000 8.153
ATOMIC_POSITIONS angstrom
Mg 0.000 0.000 0.000
Mg -0.383 0.000 2.930
Mg 4.122 0.000 2.984
Mg 6.346 0.000 4.960
Mg 8.884 0.000 3.208
Mg 8.837 0.000 6.433
Si 0.063 0.000 6.725
Si 1.736 0.000 4.784
Si 4.658 0.000 0.221
Si 3.817 0.000 6.140
Si 6.769 0.000 1.494
Si 6.326 0.000 7.840
Si 10.600 0.000 1.011
Si 11.439 0.000 5.270
```

Output
- Energy of formation: 151 meV per atom

=====

Record 5
This record from Materials Project describes a relaxed structure of Mg5Si6. The functional is GGA-PBE. Values from VASP.

Structure (Quantum ESPRESSO input):
```
&SYSTEM
  ibrav = 0, nat = 22, ntyp = 2
/
ATOMIC_SPECIES
Mg 24.30 Mg.upf
Si 28.09 Si.upf
CELL_PARAMETERS angstrom
4.326 0.000 0.000
-0.061 6.781 0.000
-2.058 -1.671 14.187
ATOMIC_POSITIONS angstrom
Mg 0.000 0.000 0.000
Mg -0.023 3.546 0.990
Mg -0.010 4.803 5.736
Mg 0.029 4.847 11.196
Mg 0.090 0.524 13.170
Mg 2.119 3.534 3.606
Mg 2.191 0.148 4.590
Mg 2.146 2.666 6.823
Mg 2.224 -0.907 7.753
Mg 2.233 2.539 12.140
Si -0.010 1.182 2.796
Si -0.033 5.507 2.996
Si -0.067 2.246 4.923
Si 0.078 0.597 6.611
Si -0.028 1.577 8.798
Si 0.006 4.003 8.473
Si 0.056 3.254 13.613
Si 2.171 1.457 1.606
Si 2.126 5.754 1.717
Si 2.120 0.956 9.740
Si 2.159 3.439 9.624
Si 2.255 -0.273 11.768
```

Output
- Energy of formation: 97 meV per atom

=====

Record 6
This record from Materials Project describes a relaxed structure of Mg4Si3. The functional is GGA-PBE. Values from VASP.

Structure (Quantum ESPRESSO input):
```
&SYSTEM
  ibrav = 0, nat = 14, ntyp = 2
/
ATOMIC_SPECIES
Mg 24.30 Mg.upf
Si 28.09 Si.upf
CELL_PARAMETERS angstrom
5.469 0.000 0.000
0.185 6.982 0.000
2.597 1.668 7.367
ATOMIC_POSITIONS angstrom
Mg 0.000 0.000 0.000
Mg 0.776 2.482 1.650
Mg 2.109 2.910 4.346
Mg 4.700 6.449 7.138
Mg 3.402 7.426 2.127
Mg 4.335 5.145 4.022
Mg 5.611 3.477 6.663
Mg 6.840 6.829 4.771
Si 1.619 5.239 2.420
Si 2.976 4.326 6.380
Si 3.993 7.695 4.929
Si 3.393 3.390 2.007
Si 4.981 2.508 3.944
Si 4.689 4.368 0.206
```

Output
- Energy of formation: 104 meV per atom

=====

Record 7
This record from Materials Project describes a relaxed structure of Mg5Si6. The functional is GGA-PBE. Values from VASP.

Structure (Quantum ESPRESSO input):
```
&SYSTEM
  ibrav = 0, nat = 22, ntyp = 2
/
ATOMIC_SPECIES
Mg 24.30 Mg.upf
Si 28.09 Si.upf
CELL_PARAMETERS angstrom
15.290 -1.968 0.000
15.290 1.968 0.000
-1.214 0.000 6.716
ATOMIC_POSITIONS angstrom
Mg 0.000 0.000 0.000
Mg 3.807 0.000 6.447
Mg 5.562 0.000 3.348
Mg 8.267 0.000 1.247
Mg 8.831 0.000 4.726
Mg 15.704 0.000 2.305
Mg 16.407 0.000 5.779
Mg 21.581 0.000 5.624
Mg 26.539 0.000 5.389
Mg 28.261 0.000 2.434
Si -0.231 0.000 4.168
Si 2.463 0.000 1.295
Si 2.161 0.000 3.784
Si 11.142 0.000 1.340
Si 13.519 0.000 0.441
Si 13.451 0.000 4.734
Si 19.145 0.000 1.855
Si 18.903 0.000 4.338
Si 21.494 0.000 1.300
Si 22.907 0.000 3.205
Si 25.327 0.000 0.092
Si 25.404 0.000 2.692
```

Output
- Energy of formation: 137 meV per atom

=====

Record 8
This record from Materials Project describes a relaxed structure of Mg2Si3. The functional is GGA-PBE. Values from VASP.

Structure (Quantum ESPRESSO input):
```
&SYSTEM
  ibrav = 0, nat = 20, ntyp = 2
/
ATOMIC_SPECIES
Mg 24.30 Mg.upf
Si 28.09 Si.upf
CELL_PARAMETERS angstrom
4.177 0.000 0.000
-2.048 5.159 0.000
-0.030 -0.413 16.614
ATOMIC_POSITIONS angstrom
Mg 0.000 0.000 0.000
Mg 0.015 -0.132 6.168
Mg 0.019 1.436 2.898
Mg 0.024 3.367 11.590
Mg 0.026 4.931 8.308
Mg 2.088 -0.342 14.472
Mg 2.093 1.216 11.207
Mg 2.127 3.587 3.282
Si 0.019 -0.115 12.647
Si 0.033 1.780 9.231
Si -0.006 1.757 14.380
Si 0.048 3.055 0.104
Si 0.010 3.024 5.263
Si 0.022 4.923 1.829
Si 2.122 0.099 4.340
Si 2.136 2.006 0.923
Si 2.097 1.968 6.070
Si 2.122 2.828 8.414
Si 2.083 2.810 13.570
Si 2.096 4.699 10.137
```

Output
- Energy of formation: 159 meV per atom

=====

Record 9
This record from Materials Project describes a relaxed structure of Mg2Si3. The functional is GGA-PBE. Values from VASP.

Structure (Quantum ESPRESSO input):
```
&SYSTEM
  ibrav = 0, nat = 20, ntyp = 2
/
ATOMIC_SPECIES
Mg 24.30 Mg.upf
Si 28.09 Si.upf
CELL_PARAMETERS angstrom
4.539 0.000 0.000
-2.190 5.014 0.000
-2.015 -1.349 15.273
ATOMIC_POSITIONS angstrom
Mg 0.000 0.000 0.000
Mg -2.025 -0.058 12.356
Mg -2.070 3.476 7.389
Mg 0.115 0.173 4.881
Mg -1.972 1.653 14.974
Mg 0.061 1.944 2.626
Mg 0.185 -0.154 10.348
Mg 0.163 1.557 7.792
Si -2.007 1.813 9.829
Si -1.963 2.816 12.266
Si 0.115 3.274 5.326
Si 0.246 -0.334 13.954
Si 2.272 -0.227 2.839
Si 2.315 1.527 1.109
Si 0.252 2.773 10.505
Si 0.303 1.888 13.000
Si 2.404 -0.398 8.789
Si 2.414 0.507 6.429
Si 2.418 2.281 4.615
Si 2.373 3.670 2.395
```

Output
- Energy of formation: 193 meV per atom

=====

Record 10
This record from Materials Project describes a relaxed structure of Mg4Si3. The functional is GGA-PBE. Values from VASP.

Structure (Quantum ESPRESSO input):
```
&SYSTEM
  ibrav = 0, nat = 14, ntyp = 2
/
ATOMIC_SPECIES
Mg 24.30 Mg.upf
Si 28.09 Si.upf
CELL_PARAMETERS angstrom
5.442 0.000 0.000
2.137 6.736 0.000
1.683 1.796 8.056
ATOMIC_POSITIONS angstrom
Mg 0.000 0.000 0.000
Mg 1.821 4.575 2.445
Mg 3.203 5.598 7.387
Mg 2.959 1.449 3.802
Mg 4.372 2.599 6.756
Mg 4.784 5.985 1.333
Mg 4.295 2.881 0.701
Mg 7.718 6.737 4.958
Si 2.930 4.107 5.020
Si 1.699 1.881 1.148
Si 5.660 6.745 6.803
Si 4.587 3.961 3.285
Si 6.233 3.131 4.865
Si 5.631 1.651 2.980
```

Output
- Energy of formation: 143 meV per atom

=====

Record 11
This record from Materials Project describes a relaxed structure of Mg4Si3. The functional is GGA-PBE. Values from VASP.

Structure (Quantum ESPRESSO input):
```
&SYSTEM
  ibrav = 0, nat = 14, ntyp = 2
/
ATOMIC_SPECIES
Mg 24.30 Mg.upf
Si 28.09 Si.upf
CELL_PARAMETERS angstrom
5.703 0.000 0.000
1.310 6.268 0.000
1.373 2.709 7.598
ATOMIC_POSITIONS angstrom
Mg 0.000 0.000 0.000
Mg 2.595 6.965 5.139
Mg 2.684 3.751 4.500
Mg 2.897 3.562 1.257
Mg 2.852 0.000 0.000
Mg 5.489 5.415 6.341
Mg 5.703 5.226 3.098
Mg 5.791 2.013 2.459
Si 2.734 5.042 6.982
Si 2.708 5.865 2.528
Si 3.048 1.369 2.711
Si 5.338 7.609 4.887
Si 5.678 3.112 5.070
Si 5.652 3.935 0.616
```

Output
- Energy of formation: 21 meV per atom

=====

Record 12
This record from Materials Project describes a relaxed structure of Mg2Si3. The functional is GGA-PBE. Values from VASP.

Structure (Quantum ESPRESSO input):
```
&SYSTEM
  ibrav = 0, nat = 10, ntyp = 2
/
ATOMIC_SPECIES
Mg 24.30 Mg.upf
Si 28.09 Si.upf
CELL_PARAMETERS angstrom
4.822 0.000 0.000
-1.778 5.608 0.000
-1.565 -1.545 6.964
ATOMIC_POSITIONS angstrom
Mg 0.132 1.064 1.301
Mg 0.196 0.131 4.208
Mg 1.283 3.932 2.756
Mg 1.348 2.999 5.663
Si -1.010 4.060 1.347
Si -1.086 2.944 4.075
Si -1.037 1.819 6.531
Si 2.517 2.244 0.433
Si 2.565 1.120 2.889
Si 2.490 0.003 5.617
```

Output
- Energy of formation: 187 meV per atom

=====

Record 13
This record from Materials Project describes a relaxed structure of Mg3Si4. The functional is GGA-PBE. Values from VASP.

Structure (Quantum ESPRESSO input):
```
&SYSTEM
  ibrav = 0, nat = 14, ntyp = 2
/
ATOMIC_SPECIES
Mg 24.30 Mg.upf
Si 28.09 Si.upf
CELL_PARAMETERS angstrom
6.433 0.000 0.000
-1.612 6.550 0.000
-2.028 -2.691 5.954
ATOMIC_POSITIONS angstrom
Mg 0.000 0.000 0.000
Mg -0.993 3.455 1.210
Mg -1.057 2.210 5.267
Mg 0.850 3.555 3.437
Mg 2.834 4.692 1.622
Mg 3.879 -0.301 4.278
Si -1.742 4.526 3.711
Si 0.151 0.406 3.104
Si 1.452 2.363 0.686
Si 2.140 -0.348 1.829
Si 1.435 -1.258 5.559
Si 1.618 1.278 5.014
Si 3.330 2.438 3.404
Si 4.430 0.913 1.833
```

Output
- Energy of formation: 227 meV per atom

=====

Record 14
This record from Materials Project describes a relaxed structure of Mg4Si3. The functional is GGA-PBE. Values from VASP.

Structure (Quantum ESPRESSO input):
```
&SYSTEM
  ibrav = 0, nat = 7, ntyp = 2
/
ATOMIC_SPECIES
Mg 24.30 Mg.upf
Si 28.09 Si.upf
CELL_PARAMETERS angstrom
4.362 0.000 0.000
2.054 5.137 0.000
2.014 0.531 6.133
ATOMIC_POSITIONS angstrom
Mg 1.112 1.144 0.601
Mg 3.162 1.828 3.408
Mg 5.268 3.840 2.725
Mg 7.318 4.525 5.533
Si 1.007 0.266 3.067
Si 3.100 3.376 1.033
Si 5.331 2.293 5.100
```

Output
- Energy of formation: 57 meV per atom

=====

Record 15
This record from Materials Project describes a relaxed structure of Mg3Si4. The functional is GGA-PBE. Values from VASP.

Structure (Quantum ESPRESSO input):
```
&SYSTEM
  ibrav = 0, nat = 14, ntyp = 2
/
ATOMIC_SPECIES
Mg 24.30 Mg.upf
Si 28.09 Si.upf
CELL_PARAMETERS angstrom
9.012 -1.814 0.000
9.012 1.814 0.000
-4.266 0.000 8.000
ATOMIC_POSITIONS angstrom
Mg 0.000 0.000 0.000
Mg -1.161 0.000 4.843
Mg 2.969 0.000 3.455
Mg 2.476 0.000 6.328
Mg 7.908 0.000 2.346
Mg 8.979 0.000 7.020
Si 2.727 0.000 0.690
Si 5.080 0.000 1.495
Si 5.681 0.000 3.931
Si 6.277 0.000 6.488
Si 10.551 0.000 1.793
Si 10.027 0.000 4.325
Si 15.406 0.000 0.655
Si 13.710 0.000 5.243
```

Output
- Energy of formation: 169 meV per atom

=====

Record 16
This record from Materials Project describes a relaxed structure of Mg4Si7. The functional is GGA-PBE. Values from VASP.

Structure (Quantum ESPRESSO input):
```
&SYSTEM
  ibrav = 0, nat = 22, ntyp = 2
/
ATOMIC_SPECIES
Mg 24.30 Mg.upf
Si 28.09 Si.upf
CELL_PARAMETERS angstrom
4.020 0.000 0.000
-0.015 7.128 0.000
-1.896 -1.244 14.272
ATOMIC_POSITIONS angstrom
Mg 0.000 0.000 0.000
Mg -0.003 3.501 1.253
Mg 0.034 -0.275 5.473
Mg 0.056 3.348 7.555
Mg 0.147 -0.373 8.482
Mg 0.091 2.302 10.697
Mg 0.124 5.768 11.753
Mg 2.106 4.509 9.704
Si -0.021 5.644 3.059
Si 0.002 1.425 3.199
Si -0.021 3.580 4.205
Si 0.113 0.896 13.858
Si 0.100 3.547 13.920
Si 1.986 5.927 1.772
Si 2.002 1.244 1.851
Si 2.006 3.609 5.544
Si 1.998 1.329 6.510
Si 2.156 5.438 7.067
Si 2.074 1.849 8.824
Si 2.169 0.067 10.420
Si 2.114 3.717 12.426
Si 2.134 1.228 12.491
```

Output
- Energy of formation: 150 meV per atom

=====

Record 17
This record from Materials Project describes a relaxed structure of Mg4Si7. The functional is GGA-PBE. Values from VASP.

Structure (Quantum ESPRESSO input):
```
&SYSTEM
  ibrav = 0, nat = 22, ntyp = 2
/
ATOMIC_SPECIES
Mg 24.30 Mg.upf
Si 28.09 Si.upf
CELL_PARAMETERS angstrom
4.401 0.000 0.000
-0.377 6.794 0.000
-0.381 -1.006 13.556
ATOMIC_POSITIONS angstrom
Mg 0.000 0.000 0.000
Mg -0.270 -0.550 9.816
Mg -0.490 3.483 11.305
Mg -0.345 3.685 7.810
Mg 1.720 0.407 4.318
Mg 1.746 3.619 3.594
Mg 1.992 1.646 9.219
Mg 4.114 0.455 6.818
Si -0.409 4.946 4.942
Si 1.004 1.598 12.826
Si 1.726 1.630 1.468
Si 1.356 5.602 11.626
Si 1.698 6.007 1.816
Si 1.529 6.008 8.091
Si 1.908 2.363 6.364
Si 1.810 4.832 6.071
Si 1.815 4.236 9.701
Si 1.729 3.883 13.274
Si 3.040 0.940 11.809
Si 3.924 2.459 2.304
Si 3.932 2.388 4.831
Si 3.951 4.954 2.523
```

Output
- Energy of formation: 191 meV per atom

=====

Record 18
This record from Materials Project describes a relaxed structure of Mg2Si3. The functional is GGA-PBE. Values from VASP.

Structure (Quantum ESPRESSO input):
```
&SYSTEM
  ibrav = 0, nat = 10, ntyp = 2
/
ATOMIC_SPECIES
Mg 24.30 Mg.upf
Si 28.09 Si.upf
CELL_PARAMETERS angstrom
4.331 0.000 0.000
-1.123 5.384 0.000
-0.212 -1.607 8.135
ATOMIC_POSITIONS angstrom
Mg 0.365 0.895 1.622
Mg 0.363 0.893 4.721
Mg 2.634 2.884 3.415
Mg 2.631 2.882 6.514
Si -0.716 3.335 0.981
Si 0.500 3.717 4.885
Si 1.624 -0.734 7.185
Si 1.373 4.511 0.950
Si 2.497 0.060 3.251
Si 3.713 0.442 7.154
```

Output
- Energy of formation: 130 meV per atom

=====

Per-record polymorph energy (0 for the lowest one), meV/atom: 83.3 48.0 13.2 57.6 31.0 100.3 71.7 79.9 113.5 139.0 17.4 107.6 133.8 53.7 75.0 3.5 44.8 50.7